No. 1
GdPtF7: relaxed, PBE.

Cell: 9.0183 5.6058 12.1395 Å, 90.00 117.75 90.00°
Closest atoms and distances in Å follow each position.
Fractional positions:
Gd: 0.1872 0.2390 0.2643  8 F 2.21-2.46
Gd: 0.1872 0.2610 0.7643  8 F 2.21-2.46
Gd: 0.8128 0.7390 0.2357  8 F 2.21-2.46
Gd: 0.8128 0.7610 0.7357  8 F 2.21-2.46
Pt: 0.2727 0.7419 0.0429  6 F 1.97
Pt: 0.2727 0.7581 0.5429  6 F 1.97
Pt: 0.7273 0.2419 0.4571  6 F 1.97
Pt: 0.7273 0.2581 0.9571  6 F 1.97
F: 0.0267 0.7451 0.9504  1 Pt 1.97
F: 0.0267 0.7549 0.4504  1 Pt 1.97
F: 0.0313 0.5888 0.7319  2 Gd 2.21-2.23
F: 0.0313 0.9112 0.2319  2 Gd 2.21-2.23
F: 0.2555 0.5554 0.1742  1 Pt 1.97
F: 0.2555 0.9446 0.6742  1 Pt 1.97
F: 0.2741 0.0336 0.1335  1 Pt 1.97
F: 0.2741 0.4664 0.6335  1 Pt 1.97
F: 0.2788 0.0564 0.4588  1 Pt 1.97
F: 0.2788 0.4436 0.9588  1 Pt 1.97
F: 0.2954 0.5665 0.4158  1 Pt 1.97
F: 0.2954 0.9335 0.9158  1 Pt 1.97
F: 0.4813 0.2279 0.3598  1 Pt 1.97
F: 0.4813 0.2721 0.8598  1 Pt 1.97
F: 0.5187 0.7279 0.1402  1 Pt 1.97
F: 0.5187 0.7721 0.6402  1 Pt 1.97
F: 0.7046 0.0665 0.0842  1 Pt 1.97
F: 0.7046 0.4335 0.5842  1 Pt 1.97
F: 0.7212 0.5564 0.0412  1 Pt 1.97
F: 0.7212 0.9436 0.5412  1 Pt 1.97
F: 0.7259 0.5336 0.3665  1 Pt 1.97
F: 0.7259 0.9664 0.8665  1 Pt 1.97
F: 0.7445 0.0554 0.3258  1 Pt 1.97
F: 0.7445 0.4446 0.8258  1 Pt 1.97
F: 0.9687 0.0888 0.7681  2 Gd 2.21-2.23
F: 0.9687 0.4112 0.2681  2 Gd 2.21-2.23
F: 0.9733 0.2451 0.5496  1 Pt 1.97
F: 0.9733 0.2549 0.0496  1 Pt 1.97

Results
Raw total energy in eV per cell: -225.33
ΔE_f in meV per atom: -2891
Space group: No. 14



No. 2
Rb3GdF6: relaxed, PBE.

Cell: 6.9225 6.9225 6.9225 Å, 60.00 60.00 60.00°
Closest atoms and distances in Å follow each position.
Fractional positions:
Rb: 0.0000 0.0000 0.0000  6 F 2.67
Rb: 0.2500 0.2500 0.2500  12 F 3.47
Rb: 0.7500 0.7500 0.7500  12 F 3.47
Gd: 0.5000 0.5000 0.5000  6 F 2.22
F: 0.2729 0.2729 0.7271  1 Gd 2.22
F: 0.2729 0.7271 0.2729  1 Gd 2.22
F: 0.2729 0.7271 0.7271  1 Gd 2.22
F: 0.7271 0.2729 0.2729  1 Gd 2.22
F: 0.7271 0.2729 0.7271  1 Gd 2.22
F: 0.7271 0.7271 0.2729  1 Gd 2.22

Results
Raw total energy in eV per cell: -60.63
ΔE_f in meV per atom: -3489
Space group: No. 225



No. 3
Rb3GdF6: relaxed, PBE.

Cell: 7.0716 7.0716 7.0716 Å, 117.86 117.86 93.76°
Closest atoms and distances in Å follow each position.
Fractional positions:
Rb: 0.0000 0.0000 0.0000  2 F 2.58
Rb: 0.2500 0.7500 0.5000  4 F 2.81
Rb: 0.7500 0.2500 0.5000  4 F 2.81
Gd: 0.5000 0.5000 0.0000  6 F 2.22-2.26
F: 0.1959 0.5000 0.6959  1 Gd 2.22
F: 0.2664 0.2664 0.0000  1 Gd 2.26
F: 0.5000 0.1959 0.6959  1 Gd 2.22
F: 0.5000 0.8041 0.3041  1 Gd 2.22
F: 0.7336 0.7336 0.0000  1 Gd 2.26
F: 0.8041 0.5000 0.3041  1 Gd 2.22

Results
Raw total energy in eV per cell: -60.29
ΔE_f in meV per atom: -3456
Space group: No. 139



No. 4
GeF2: relaxed, PBE.

Cell: 8.6609 5.3274 4.4578 Å, 90.00 90.00 90.00°
Closest atoms and distances in Å follow each position.
Fractional positions:
Ge: 0.1133 0.2500 0.2481  3 F 1.85-2.00
Ge: 0.3867 0.7500 0.7481  3 F 1.85-2.00
Ge: 0.6133 0.2500 0.2519  3 F 1.85-2.00
Ge: 0.8867 0.7500 0.7519  3 F 1.85-2.00
F: 0.0000 0.0000 0.5000  2 Ge 2.00
F: 0.0000 0.5000 0.5000  2 Ge 2.00
F: 0.2259 0.7500 0.0224  1 Ge 1.85
F: 0.2741 0.2500 0.5224  1 Ge 1.85
F: 0.5000 0.0000 0.0000  2 Ge 2.00
F: 0.5000 0.5000 0.0000  2 Ge 2.00
F: 0.7259 0.7500 0.4776  1 Ge 1.85
F: 0.7741 0.2500 0.9776  1 Ge 1.85

Results
Raw total energy in eV per cell: -58.58
ΔE_f in meV per atom: -2372
Space group: No. 62



No. 5
GeF2: relaxed, PBE.

Cell: 4.9713 5.2396 8.2460 Å, 90.00 90.00 90.00°
Closest atoms and distances in Å follow each position.
Fractional positions:
Ge: 0.2261 0.0253 0.1240  2 F 1.89-1.90
Ge: 0.2739 0.9747 0.6240  2 F 1.89-1.90
Ge: 0.7261 0.4747 0.8760  2 F 1.89-1.90
Ge: 0.7739 0.5253 0.3760  2 F 1.89-1.90
F: 0.0344 0.6270 0.5307  1 Ge 1.89
F: 0.0946 0.2538 0.2853  1 Ge 1.90
F: 0.4054 0.7462 0.7853  1 Ge 1.90
F: 0.4656 0.3730 0.0307  1 Ge 1.89
F: 0.5344 0.8730 0.4693  1 Ge 1.89
F: 0.5946 0.2462 0.7147  1 Ge 1.90
F: 0.9054 0.7538 0.2147  1 Ge 1.90
F: 0.9656 0.1270 0.9693  1 Ge 1.89

Results
Raw total energy in eV per cell: -58.79
Largest piezoelectric modulus in C/m²: 0.2
ΔE_f in meV per atom: -2389
Space group: No. 19



No. 6
Ge5F12: relaxed, PBE.

Cell: 8.6800 7.8338 8.2500 Å, 90.00 93.05 90.00°
Closest atoms and distances in Å follow each position.
Fractional positions:
Ge: 0.0000 0.0000 0.0000  6 F 1.79-1.88
Ge: 0.0000 0.5000 0.5000  6 F 1.79-1.88
Ge: 0.2076 0.0537 0.6325  2 F 1.87-2.05
Ge: 0.2076 0.4463 0.1325  2 F 1.87-2.05
Ge: 0.3896 0.6253 0.6909  2 F 1.84-1.99
Ge: 0.3896 0.8747 0.1909  2 F 1.84-1.99
Ge: 0.6104 0.1253 0.8091  2 F 1.84-1.99
Ge: 0.6104 0.3747 0.3091  2 F 1.84-1.99
Ge: 0.7924 0.5537 0.8675  2 F 1.87-2.05
Ge: 0.7924 0.9463 0.3675  2 F 1.87-2.05
F: 0.0406 0.1531 0.1574  1 Ge 1.79
F: 0.0406 0.3469 0.6574  1 Ge 1.79
F: 0.1418 0.6478 0.5995  1 Ge 1.85
F: 0.1418 0.8522 0.0995  1 Ge 1.85
F: 0.1580 0.0961 0.8825  1 Ge 1.88
F: 0.1580 0.4039 0.3825  1 Ge 1.88
F: 0.3250 0.5617 0.8915  1 Ge 1.84
F: 0.3250 0.9383 0.3915  1 Ge 1.84
F: 0.3482 0.6301 0.2372  2 Ge 1.99-2.05
F: 0.3482 0.8699 0.7372  2 Ge 1.99-2.05
F: 0.3771 0.1994 0.6691  1 Ge 1.87
F: 0.3771 0.3006 0.1691  1 Ge 1.87
F: 0.6229 0.6994 0.8309  1 Ge 1.87
F: 0.6229 0.8006 0.3309  1 Ge 1.87
F: 0.6518 0.1301 0.2628  2 Ge 1.99-2.05
F: 0.6518 0.3699 0.7628  2 Ge 1.99-2.05
F: 0.6750 0.0617 0.6085  1 Ge 1.84
F: 0.6750 0.4383 0.1085  1 Ge 1.84
F: 0.8420 0.5961 0.6175  1 Ge 1.88
F: 0.8420 0.9039 0.1175  1 Ge 1.88
F: 0.8582 0.1478 0.9005  1 Ge 1.85
F: 0.8582 0.3522 0.4005  1 Ge 1.85
F: 0.9594 0.6531 0.3426  1 Ge 1.79
F: 0.9594 0.8469 0.8426  1 Ge 1.79

Results
Raw total energy in eV per cell: -166.05
ΔE_f in meV per atom: -2499
Space group: No. 14



No. 7
Ge3F8: relaxed, PBE.

Cell: 5.0944 5.2091 13.0165 Å, 90.00 112.09 90.00°
Closest atoms and distances in Å follow each position.
Fractional positions:
Ge: 0.0000 0.0000 0.0000  6 F 1.80-1.90
Ge: 0.0000 0.5000 0.5000  6 F 1.80-1.90
Ge: 0.3833 0.1006 0.3313  3 F 1.98-2.04
Ge: 0.3833 0.3994 0.8313  3 F 1.98-2.04
Ge: 0.6167 0.6006 0.1687  3 F 1.98-2.04
Ge: 0.6167 0.8994 0.6687  3 F 1.98-2.04
F: 0.0121 0.5632 0.3640  1 Ge 1.82
F: 0.0121 0.9368 0.8640  1 Ge 1.82
F: 0.2236 0.7032 0.0595  2 Ge 1.90-2.04
F: 0.2236 0.7968 0.5595  2 Ge 1.90-2.04
F: 0.3170 0.1907 0.0339  1 Ge 1.80
F: 0.3170 0.3093 0.5339  1 Ge 1.80
F: 0.4150 0.0773 0.7516  2 Ge 1.98-2.01
F: 0.4150 0.4227 0.2516  2 Ge 1.98-2.01
F: 0.5850 0.5773 0.7484  2 Ge 1.98-2.01
F: 0.5850 0.9227 0.2484  2 Ge 1.98-2.01
F: 0.6830 0.6907 0.4661  1 Ge 1.80
F: 0.6830 0.8093 0.9661  1 Ge 1.80
F: 0.7764 0.2032 0.4405  2 Ge 1.90-2.04
F: 0.7764 0.2968 0.9405  2 Ge 1.90-2.04
F: 0.9879 0.0632 0.1360  1 Ge 1.82
F: 0.9879 0.4368 0.6360  1 Ge 1.82

Results
Raw total energy in eV per cell: -106.92
ΔE_f in meV per atom: -2543
Space group: No. 14



No. 8
GeH10N4F6: relaxed, PBE.

Cell: 6.0787 5.3497 11.8560 Å, 90.00 109.61 90.00°
Closest atoms and distances in Å follow each position.
Fractional positions:
Ge: 0.0000 0.0000 0.0000  6 F 1.82-1.87
Ge: 0.0000 0.5000 0.5000  6 F 1.82-1.87
H: 0.1600 0.1542 0.7068  1 N 1.03
H: 0.1600 0.3458 0.2068  1 N 1.03
H: 0.2638 0.5222 0.3308  1 N 1.04
H: 0.2638 0.9778 0.8308  1 N 1.04
H: 0.2791 0.0911 0.3697  1 N 1.03
H: 0.2791 0.4089 0.8697  1 N 1.03
H: 0.4266 0.0245 0.7400  1 N 1.06
H: 0.4266 0.4755 0.2400  1 N 1.06
H: 0.4608 0.7228 0.0834  1 N 1.03
H: 0.4608 0.7772 0.5834  1 N 1.03
H: 0.5392 0.2228 0.4166  1 N 1.03
H: 0.5392 0.2772 0.9166  1 N 1.03
H: 0.5734 0.5245 0.7600  1 N 1.06
H: 0.5734 0.9755 0.2600  1 N 1.06
H: 0.7209 0.5911 0.1303  1 N 1.03
H: 0.7209 0.9089 0.6303  1 N 1.03
H: 0.7362 0.0222 0.1693  1 N 1.04
H: 0.7362 0.4778 0.6692  1 N 1.04
H: 0.8400 0.6542 0.7932  1 N 1.03
H: 0.8400 0.8458 0.2932  1 N 1.03
N: 0.3087 0.1081 0.7774  3 H 1.03-1.06
N: 0.3087 0.3919 0.2774  3 H 1.03-1.06
N: 0.4077 0.1657 0.3412  2 H 1.03
N: 0.4077 0.3343 0.8412  2 H 1.03
N: 0.5923 0.6657 0.1588  2 H 1.03
N: 0.5923 0.8343 0.6588  2 H 1.03
N: 0.6913 0.6081 0.7226  3 H 1.03-1.06
N: 0.6913 0.8919 0.2226  3 H 1.03-1.06
F: 0.0765 0.7003 0.6319  1 Ge 1.82
F: 0.0765 0.7997 0.1319  1 Ge 1.82
F: 0.1187 0.7337 0.4176  1 Ge 1.87, 2 H 1.93
F: 0.1187 0.7663 0.9176  1 Ge 1.87, 2 H 1.93
F: 0.2862 0.1460 0.0566  1 Ge 1.82
F: 0.2862 0.3540 0.5566  1 Ge 1.82
F: 0.7138 0.6460 0.4434  1 Ge 1.82
F: 0.7138 0.8540 0.9434  1 Ge 1.82
F: 0.8813 0.2337 0.0824  1 Ge 1.87, 2 H 1.93
F: 0.8813 0.2663 0.5824  1 Ge 1.87, 2 H 1.93
F: 0.9235 0.2003 0.8681  1 Ge 1.82
F: 0.9235 0.2997 0.3681  1 Ge 1.82

Results
Raw total energy in eV per cell: -211.15
ΔE_f in meV per atom: -1189
Space group: No. 14



No. 9
GeN3F7: relaxed, PBE.

Cell: 8.5466 8.5466 5.5705 Å, 90.00 90.00 90.00°
Closest atoms and distances in Å follow each position.
Fractional positions:
Ge: 0.0000 0.5000 0.0000  2 F 1.86
Ge: 0.5000 0.0000 0.0000  2 F 1.86
N: 0.0000 0.0000 0.0000  2 F 2.79
N: 0.2269 0.2731 0.5000  2 F 1.39
N: 0.2731 0.7731 0.5000  2 F 1.39
N: 0.5000 0.5000 0.0000  2 F 2.79
N: 0.7269 0.2269 0.5000  2 F 1.39
N: 0.7731 0.7269 0.5000  2 F 1.39
F: 0.0000 0.0000 0.5000  6 N 2.79-3.03
F: 0.1539 0.6539 0.0000  1 Ge 1.86
F: 0.1546 0.3454 0.3051  1 N 1.39
F: 0.1546 0.3454 0.6949  1 N 1.39
F: 0.3454 0.8454 0.3051  1 N 1.39
F: 0.3454 0.8454 0.6949  1 N 1.39
F: 0.3461 0.1539 0.0000  1 Ge 1.86
F: 0.5000 0.5000 0.5000  6 N 2.79-3.03
F: 0.6539 0.8461 0.0000  1 Ge 1.86
F: 0.6546 0.1546 0.3051  1 N 1.39
F: 0.6546 0.1546 0.6949  1 N 1.39
F: 0.8454 0.6546 0.3051  1 N 1.39
F: 0.8454 0.6546 0.6949  1 N 1.39
F: 0.8461 0.3461 0.0000  1 Ge 1.86

Results
Energy above the lowest structure with this stoichiometry in meV per atom: 358
Raw total energy in eV per cell: -83.30
ΔE_f in meV per atom: -168
Space group: No. 127



No. 10
GeN3F7: relaxed, PBE.

Cell: 6.7247 6.7247 7.8819 Å, 90.00 90.00 90.00°
Closest atoms and distances in Å follow each position.
Fractional positions:
Ge: 0.0000 0.5000 0.0000  2 F 1.98
Ge: 0.5000 0.0000 0.0000  2 F 1.98
N: 0.0000 0.0000 0.0000  4 F 2.41
N: 0.2403 0.2597 0.5000  2 F 1.36
N: 0.2597 0.7597 0.5000  2 F 1.36
N: 0.5000 0.5000 0.0000  4 F 2.41
N: 0.7403 0.2403 0.5000  2 F 1.36
N: 0.7597 0.7403 0.5000  2 F 1.36
F: 0.0000 0.0000 0.5000  4 N 2.38
F: 0.1524 0.3476 0.3633  1 N 1.36
F: 0.1524 0.3476 0.6367  1 N 1.36
F: 0.2081 0.7081 0.0000  1 Ge 1.98
F: 0.2919 0.2081 0.0000  1 Ge 1.98
F: 0.3476 0.8476 0.3633  1 N 1.36
F: 0.3476 0.8476 0.6367  1 N 1.36
F: 0.5000 0.5000 0.5000  4 N 2.38
F: 0.6524 0.1524 0.3633  1 N 1.36
F: 0.6524 0.1524 0.6367  1 N 1.36
F: 0.7081 0.7919 0.0000  1 Ge 1.98
F: 0.7919 0.2919 0.0000  1 Ge 1.98
F: 0.8476 0.6524 0.3633  1 N 1.36
F: 0.8476 0.6524 0.6367  1 N 1.36

Results
Energy above the lowest structure with this stoichiometry in meV per atom: 301
Raw total energy in eV per cell: -84.57
ΔE_f in meV per atom: -226
Space group: No. 127



No. 11
GeN3F7: relaxed, PBE.

Cell: 5.9410 11.6540 11.0878 Å, 90.00 95.33 90.00°
Closest atoms and distances in Å follow each position.
Fractional positions:
Ge: 0.0000 0.0000 0.0000  4 F 1.75
Ge: 0.0000 0.0000 0.5000  4 F 1.75
Ge: 0.0000 0.5000 0.0000  4 F 1.75
Ge: 0.0000 0.5000 0.5000  4 F 1.75
N: 0.0333 0.2358 0.2835  2 F 1.34-1.45
N: 0.0333 0.2642 0.7835  2 F 1.34-1.45
N: 0.4242 0.0049 0.2519  1 F 1.36
N: 0.4242 0.4951 0.7519  1 F 1.36
N: 0.4649 0.7282 0.4906  4 F 2.78-3.08
N: 0.4649 0.7718 0.9906  4 F 2.78-3.08
N: 0.5351 0.2282 0.0094  4 F 2.78-3.08
N: 0.5351 0.2718 0.5094  4 F 2.78-3.08
N: 0.5758 0.5049 0.2481  1 F 1.36
N: 0.5758 0.9951 0.7481  1 F 1.36
N: 0.9667 0.7358 0.2165  2 F 1.34-1.45
N: 0.9667 0.7642 0.7165  2 F 1.34-1.45
F: 0.0084 0.6182 0.1822  1 N 1.45
F: 0.0084 0.8818 0.6822  1 N 1.45
F: 0.0308 0.1473 0.0290  1 Ge 1.75
F: 0.0308 0.3527 0.5290  1 Ge 1.75
F: 0.1579 0.5978 0.9225  1 Ge 1.75
F: 0.1579 0.9022 0.4225  1 Ge 1.75
F: 0.2245 0.0058 0.9084  1 Ge 1.75
F: 0.2245 0.4942 0.4084  1 Ge 1.75
F: 0.2486 0.0699 0.5565  1 Ge 1.75
F: 0.2486 0.4301 0.0565  1 Ge 1.75
F: 0.2564 0.2380 0.2721  1 N 1.34
F: 0.2564 0.2620 0.7721  1 N 1.34
F: 0.2785 0.5558 0.6737  1 N 1.36
F: 0.2785 0.9442 0.1737  1 N 1.36
F: 0.7215 0.0558 0.8263  1 N 1.36
F: 0.7215 0.4442 0.3263  1 N 1.36
F: 0.7436 0.7380 0.2279  1 N 1.34
F: 0.7436 0.7620 0.7279  1 N 1.34
F: 0.7514 0.5699 0.9435  1 Ge 1.75
F: 0.7514 0.9301 0.4435  1 Ge 1.75
F: 0.7755 0.5058 0.5916  1 Ge 1.75
F: 0.7755 0.9942 0.0916  1 Ge 1.75
F: 0.8421 0.0978 0.5775  1 Ge 1.75
F: 0.8421 0.4022 0.0775  1 Ge 1.75
F: 0.9692 0.6473 0.4710  1 Ge 1.75
F: 0.9692 0.8527 0.9710  1 Ge 1.75
F: 0.9916 0.1182 0.3178  1 N 1.45
F: 0.9916 0.3818 0.8178  1 N 1.45

Results
Energy above the lowest structure with this stoichiometry in meV per atom: 0
Raw total energy in eV per cell: -182.37
ΔE_f in meV per atom: -527
Space group: No. 14



No. 12
Na2GeF6: relaxed, PBE.

Cell: 9.5639 9.5639 4.6732 Å, 90.00 90.00 120.00°
Closest atoms and distances in Å follow each position.
Fractional positions:
Na: 0.0000 0.3428 0.0000  6 F 2.32-2.39
Na: 0.0000 0.6572 0.0000  6 F 2.32-2.39
Na: 0.3428 0.0000 0.0000  6 F 2.32-2.39
Na: 0.3428 0.3428 0.0000  6 F 2.32-2.39
Na: 0.6572 0.0000 0.0000  6 F 2.32-2.39
Na: 0.6572 0.6572 0.0000  6 F 2.32-2.39
Ge: 0.0000 0.0000 0.0000  6 F 1.84
Ge: 0.3333 0.6667 0.5003  6 F 1.84
Ge: 0.6667 0.3333 0.4997  6 F 1.84
F: 0.0930 0.1861 0.2141  1 Ge 1.84
F: 0.0930 0.9070 0.2141  1 Ge 1.84
F: 0.1505 0.5752 0.2752  1 Ge 1.84
F: 0.1861 0.0930 0.7859  1 Ge 1.84
F: 0.2419 0.4839 0.7235  1 Ge 1.84
F: 0.2419 0.7581 0.7235  1 Ge 1.84
F: 0.4248 0.5752 0.2752  1 Ge 1.84
F: 0.4248 0.8495 0.2752  1 Ge 1.84
F: 0.4839 0.2419 0.2765  1 Ge 1.84
F: 0.5161 0.7581 0.7235  1 Ge 1.84
F: 0.5752 0.1505 0.7248  1 Ge 1.84
F: 0.5752 0.4248 0.7248  1 Ge 1.84
F: 0.7581 0.2419 0.2765  1 Ge 1.84
F: 0.7581 0.5161 0.2765  1 Ge 1.84
F: 0.8139 0.9070 0.2141  1 Ge 1.84
F: 0.8495 0.4248 0.7248  1 Ge 1.84
F: 0.9070 0.0930 0.7859  1 Ge 1.84
F: 0.9070 0.8139 0.7859  1 Ge 1.84

Results
Energy above the lowest structure with this stoichiometry in meV per atom: 51
Raw total energy in eV per cell: -127.27
ΔE_f in meV per atom: -2938
Space group: No. 164